Record 1
Below is a relaxed structure of Rb2VP2O8, with properties calculated at the PBE+U level.

Results
- Offset from the most stable computed form: 0.008 eV/atom
- Raw total energy: -6.8375 eV per atom

Cell lengths 7.2647, 9.5291, 13.1210 Å; angles 90.00, 90.00, 90.00 degrees
With the nearest neighbours (Å) after each atom.
Atoms (fractional coordinates):
V (0.2500, 0.0026, 0.7980)  1 O 1.64
V (0.7500, 0.5026, 0.7020)  1 O 1.64
V (0.7500, 0.9974, 0.2020)  1 O 1.64
V (0.2500, 0.4974, 0.2980)  1 O 1.64
O (0.9765, 0.8046, 0.5441)  1 P 1.50
O (0.7500, 0.4310, 0.5880)  1 V 1.64
O (0.4765, 0.3046, 0.9559)  1 P 1.50
O (0.4374, 0.1554, 0.7923)  1 P 1.54
O (0.5235, 0.6954, 0.0441)  1 P 1.50
O (0.7500, 0.2005, 0.8580)  2 P 1.64
O (0.2500, 0.7995, 0.1420)  2 P 1.64
O (0.7500, 0.0690, 0.0880)  1 V 1.64
O (0.0593, 0.5996, 0.2189)  1 P 1.55
O (0.4407, 0.5996, 0.2189)  1 P 1.55
O (0.2500, 0.7005, 0.6420)  2 P 1.64
O (0.0626, 0.1554, 0.7923)  1 P 1.54
O (0.9765, 0.6954, 0.0441)  1 P 1.50
O (0.5593, 0.0996, 0.2811)  1 P 1.55
O (0.5593, 0.4004, 0.7811)  1 P 1.55
O (0.0593, 0.9004, 0.7189)  1 P 1.55
O (0.5235, 0.8046, 0.5441)  1 P 1.50
O (0.0626, 0.3446, 0.2923)  1 P 1.54
O (0.9374, 0.8446, 0.2077)  1 P 1.54
O (0.4407, 0.9004, 0.7189)  1 P 1.55
O (0.5626, 0.8446, 0.2077)  1 P 1.54
O (0.7500, 0.2995, 0.3580)  2 P 1.64
O (0.0235, 0.1954, 0.4559)  1 P 1.50
O (0.5626, 0.6554, 0.7077)  1 P 1.54
O (0.9407, 0.0996, 0.2811)  1 P 1.55
O (0.4374, 0.3446, 0.2923)  1 P 1.54
O (0.9407, 0.4004, 0.7811)  1 P 1.55
O (0.4765, 0.1954, 0.4559)  1 P 1.50
O (0.2500, 0.9310, 0.9120)  1 V 1.64
O (0.9374, 0.6554, 0.7077)  1 P 1.54
O (0.2500, 0.5690, 0.4120)  1 V 1.64
O (0.0235, 0.3046, 0.9559)  1 P 1.50
P (0.5441, 0.2691, 0.8509)  4 O 1.50-1.64
P (0.9559, 0.2309, 0.3509)  4 O 1.50-1.64
P (0.5441, 0.2309, 0.3509)  4 O 1.50-1.64
P (0.0441, 0.7691, 0.6491)  4 O 1.50-1.64
P (0.9559, 0.2691, 0.8509)  4 O 1.50-1.64
P (0.0441, 0.7309, 0.1491)  4 O 1.50-1.64
P (0.4559, 0.7691, 0.6491)  4 O 1.50-1.64
P (0.4559, 0.7309, 0.1491)  4 O 1.50-1.64
Rb (0.2500, 0.9234, 0.4044)  6 O 2.93-3.24
Rb (0.7500, 0.8592, 0.9063)  3 O 2.90-3.11
Rb (0.2500, 0.1408, 0.0937)  3 O 2.90-3.11
Rb (0.7500, 0.6408, 0.4063)  3 O 2.90-3.11
Rb (0.2500, 0.5766, 0.9044)  6 O 2.93-3.24
Rb (0.7500, 0.4234, 0.0956)  6 O 2.93-3.24
Rb (0.7500, 0.0766, 0.5956)  6 O 2.93-3.24
Rb (0.2500, 0.3592, 0.5937)  3 O 2.90-3.11

=====

Record 2
Below is a relaxed structure of RbVP2O8, with properties calculated at the PBE+U level.

Results
- Raw total energy: -6.9686 eV per atom

Cell lengths 7.4895, 8.7772, 9.4229 Å; angles 64.46, 68.06, 67.31 degrees
With the nearest neighbours (Å) after each atom.
Atoms (fractional coordinates):
O (0.8785, 0.1798, 0.5556)  1 P 1.57
O (0.6330, 0.4008, 0.7433)  1 P 1.49
O (0.3670, 0.5992, 0.2567)  1 P 1.49
O (0.7453, 0.0268, 0.8581)  1 P 1.58
O (0.9312, 0.1197, 0.2918)  1 P 1.57
O (0.5090, 0.6823, 0.4182)  1 P 1.58
O (0.2226, 0.3169, 0.2335)  1 P 1.49
O (0.7223, 0.4473, 0.2951)  1 P 1.59
O (0.2777, 0.5527, 0.7049)  1 P 1.59
O (0.0472, 0.1492, 0.7585)  1 P 1.49
O (0.3627, 0.2355, 0.8828)  1 P 1.57
O (0.5366, 0.0938, 0.1339)  1 P 1.57
O (0.1215, 0.8202, 0.4444)  1 P 1.57
O (0.7774, 0.6831, 0.7665)  1 P 1.49
O (0.5394, 0.2237, 0.3208)  1 P 1.57
O (0.9528, 0.8508, 0.2415)  1 P 1.49
O (0.4910, 0.3177, 0.5818)  1 P 1.58
O (0.3353, 0.0097, 0.4257)  1 P 1.56
O (0.4634, 0.9062, 0.8661)  1 P 1.57
O (0.0688, 0.8803, 0.7082)  1 P 1.57
O (0.6373, 0.7645, 0.1172)  1 P 1.57
O (0.6647, 0.9903, 0.5743)  1 P 1.56
O (0.4606, 0.7763, 0.6792)  1 P 1.57
O (0.2547, 0.9732, 0.1419)  1 P 1.58
P (0.6020, 0.8331, 0.7241)  4 O 1.49-1.57
P (0.0606, 0.9338, 0.2800)  4 O 1.49-1.58
P (0.5460, 0.6226, 0.2709)  4 O 1.49-1.59
P (0.3980, 0.1669, 0.2759)  4 O 1.49-1.57
P (0.4540, 0.3774, 0.7291)  4 O 1.49-1.59
P (0.9394, 0.0662, 0.7200)  4 O 1.49-1.58
Rb (0.8618, 0.3405, 0.9690)  4 O 2.75-2.97
Rb (0.0000, 0.5000, 0.5000)  8 O 2.98-3.15
Rb (0.1382, 0.6595, 0.0310)  4 O 2.75-2.97
V (0.2986, 0.7881, 0.5627)  6 O 1.87-1.95
V (0.5000, 0.0000, 0.0000)  6 O 1.86-1.95
V (0.7014, 0.2119, 0.4373)  6 O 1.87-1.95

=====

Record 3
Below is a relaxed structure of RbVP2O8, with properties calculated at the PBE+U level.

Results
- Raw total energy: -6.9755 eV per atom

Cell lengths 8.7468, 5.1176, 14.7059 Å; angles 86.97, 90.00, 90.00 degrees
With the nearest neighbours (Å) after each atom.
Atoms (fractional coordinates):
P (0.7377, 0.7696, 0.3212)  4 O 1.49-1.58
P (0.1681, 0.7343, 0.4399)  4 O 1.49-1.57
P (0.8319, 0.2657, 0.5601)  4 O 1.49-1.57
P (0.2623, 0.2304, 0.6788)  4 O 1.49-1.58
P (0.3319, 0.7343, 0.9399)  4 O 1.49-1.57
P (0.6681, 0.2657, 0.0601)  4 O 1.49-1.57
P (0.7623, 0.7696, 0.8212)  4 O 1.49-1.58
P (0.2377, 0.2304, 0.1788)  4 O 1.49-1.58
O (0.3610, 0.4449, 0.2006)  1 P 1.58
O (0.3307, 0.7727, 0.4124)  1 P 1.49
O (0.6066, 0.5354, 0.0887)  1 P 1.56
O (0.3934, 0.4646, 0.9113)  1 P 1.56
O (0.3445, 0.7409, 0.0464)  1 P 1.57
O (0.6555, 0.2591, 0.9536)  1 P 1.57
O (0.6774, 0.7452, 0.4164)  1 P 1.49
O (0.0576, 0.9478, 0.3980)  1 P 1.56
O (0.1693, 0.7727, 0.9124)  1 P 1.49
O (0.1555, 0.7409, 0.5464)  1 P 1.57
O (0.6032, 0.7403, 0.2513)  1 P 1.57
O (0.3968, 0.2597, 0.7487)  1 P 1.57
O (0.1066, 0.4646, 0.4113)  1 P 1.56
O (0.1852, 0.9598, 0.7053)  1 P 1.57
O (0.8445, 0.2591, 0.4536)  1 P 1.57
O (0.8307, 0.2273, 0.0876)  1 P 1.49
O (0.5576, 0.0522, 0.1020)  1 P 1.56
O (0.1390, 0.4449, 0.7006)  1 P 1.58
O (0.8934, 0.5354, 0.5887)  1 P 1.56
O (0.8968, 0.7403, 0.7513)  1 P 1.57
O (0.8610, 0.5551, 0.2994)  1 P 1.58
O (0.1032, 0.2597, 0.2487)  1 P 1.57
O (0.3226, 0.2548, 0.5836)  1 P 1.49
O (0.6693, 0.2273, 0.5876)  1 P 1.49
O (0.6390, 0.5551, 0.7994)  1 P 1.58
O (0.9424, 0.0522, 0.6020)  1 P 1.56
O (0.6852, 0.0402, 0.7947)  1 P 1.57
O (0.8148, 0.0402, 0.2947)  1 P 1.57
O (0.4424, 0.9478, 0.8980)  1 P 1.56
O (0.8226, 0.7452, 0.9164)  1 P 1.49
O (0.1774, 0.2548, 0.0836)  1 P 1.49
O (0.3148, 0.9598, 0.2053)  1 P 1.57
Rb (0.9784, 0.7378, 0.0977)  4 O 2.82-3.04
Rb (0.4784, 0.2622, 0.4023)  4 O 2.82-3.04
Rb (0.5216, 0.7378, 0.5977)  4 O 2.82-3.04
Rb (0.0216, 0.2622, 0.9023)  4 O 2.82-3.04
V (0.5336, 0.2555, 0.8495)  6 O 1.87-1.93
V (0.4664, 0.7445, 0.1505)  6 O 1.87-1.93
V (0.0336, 0.7445, 0.6505)  6 O 1.87-1.93
V (0.9664, 0.2555, 0.3495)  6 O 1.87-1.93

=====

no.,ΔH_f (0 K) (eV per atom)
1,-2.664
2,-2.529
3,-2.536